Entry 1:
# NaPmHg2

NaPmHg2 after structural relaxation (meta-GGA r2SCAN, the Materials Project database).

abc: 7.3719 7.3719 7.3719
angles: 90.00 90.00 90.00
With the nearest neighbours (Å) after each atom.
Space group Fm-3m (No. 225)
One atom of each set of equivalent atoms:
Na: 0.0000 0.0000 0.0000 x4  8 Hg 3.19
Pm: 0.0000 0.0000 0.5000 x4  8 Hg 3.19
Hg: 0.2500 0.2500 0.2500 x8  4 Na 3.19, 4 Pm 3.19

Summary:
V, Å³/atom: 25.039
Crystal system: cubic
Formation energy from the elements, eV/atom: -0.4397

***

Entry 2:
# NaSmHg2

NaSmHg2 after structural relaxation (meta-GGA r2SCAN, the Materials Project database).

abc: 7.3439 7.3439 7.3439
angles: 90.00 90.00 90.00
With the nearest neighbours (Å) after each atom.
Space group Fm-3m (No. 225)
One atom of each set of equivalent atoms:
Na: 0.0000 0.0000 0.0000 x4  8 Hg 3.18
Sm: 0.0000 0.0000 0.5000 x4  8 Hg 3.18
Hg: 0.2500 0.2500 0.2500 x8  4 Na 3.18, 4 Sm 3.18

Summary:
V, Å³/atom: 24.755
Crystal system: cubic
Formation energy from the elements, eV/atom: -0.4316

***

Entry 3:
# NaSrHg2

NaSrHg2 after structural relaxation (meta-GGA r2SCAN, the Materials Project database).

abc: 7.6893 7.6893 7.6893
angles: 90.00 90.00 90.00
With the nearest neighbours (Å) after each atom.
Space group Fm-3m (No. 225)
One atom of each set of equivalent atoms:
Na: 0.0000 0.0000 0.0000 x4  8 Hg 3.33
Sr: 0.0000 0.0000 0.5000 x4  8 Hg 3.33
Hg: 0.2500 0.2500 0.2500 x8  4 Na 3.33, 4 Sr 3.33

Summary:
V, Å³/atom: 28.414
Crystal system: cubic
Formation energy from the elements, eV/atom: -0.3838

***

Entry 4:
# NaTlHg2

NaTlHg2 after structural relaxation (meta-GGA r2SCAN, the Materials Project database).

abc: 7.4443 7.4443 7.4443
angles: 90.00 90.00 90.00
With the nearest neighbours (Å) after each atom.
Space group Fm-3m (No. 225)
One atom of each set of equivalent atoms:
Na: 0.0000 0.0000 0.0000 x4  8 Hg 3.22
Tl: 0.0000 0.0000 0.5000 x4  8 Hg 3.22
Hg: 0.2500 0.2500 0.2500 x8  4 Tl 3.22, 4 Na 3.22

Summary:
V, Å³/atom: 25.784
Crystal system: cubic
Formation energy from the elements, eV/atom: -0.1847

***

Entry 5:
# Nb2Hg2O7

Nb2Hg2O7 after structural relaxation (meta-GGA r2SCAN, the Materials Project database).

abc: 10.5616 10.5616 10.5616
angles: 90.00 90.00 90.00
With the nearest neighbours (Å) after each atom.
Space group Fd-3m (No. 227, origin choice 2)
One atom of each set of equivalent atoms:
Nb: 0.0000 0.0000 0.0000 x16  6 O 1.99
Hg: 0.0000 0.0000 0.5000 x16  2 O 2.29
O: 0.0660 0.3750 0.3750 x48  2 Nb 1.99
O: 0.1250 0.1250 0.6250 x8  4 Hg 2.29

Summary:
V, Å³/atom: 13.388
Crystal system: cubic
Formation energy from the elements, eV/atom: -1.8957

***

Entry 6:
# NdHg

NdHg after structural relaxation (meta-GGA r2SCAN, the Materials Project database).

abc: 3.8167 3.8167 3.8167
angles: 90.00 90.00 90.00
With the nearest neighbours (Å) after each atom.
Space group Pm-3m (No. 221)
One atom of each set of equivalent atoms:
Nd: 0.0000 0.0000 0.0000 x1  8 Hg 3.31
Hg: 0.5000 0.5000 0.5000 x1  8 Nd 3.31

Summary:
V, Å³/atom: 27.799
Crystal system: cubic
Formation energy from the elements, eV/atom: -0.5579

***

Entry 7:
# Nd2HgPb

Nd2HgPb after structural relaxation (meta-GGA r2SCAN, the Materials Project database).

abc: 7.7459 7.7459 7.7459
angles: 90.00 90.00 90.00
With the nearest neighbours (Å) after each atom.
Space group Fm-3m (No. 225)
One atom of each set of equivalent atoms:
Nd: 0.2500 0.2500 0.2500 x8  4 Hg 3.35, 4 Pb 3.35
Hg: 0.0000 0.0000 0.0000 x4  8 Nd 3.35
Pb: 0.0000 0.0000 0.5000 x4  8 Nd 3.35

Summary:
V, Å³/atom: 29.047
Crystal system: cubic
Formation energy from the elements, eV/atom: -0.6318

***

Entry 8:
# NdSmHg2

NdSmHg2 after structural relaxation (meta-GGA r2SCAN, the Materials Project database).

abc: 7.5849 7.5849 7.5849
angles: 90.00 90.00 90.00
With the nearest neighbours (Å) after each atom.
Space group Fm-3m (No. 225)
One atom of each set of equivalent atoms:
Nd: 0.0000 0.0000 0.0000 x4  8 Hg 3.28
Sm: 0.0000 0.0000 0.5000 x4  8 Hg 3.28
Hg: 0.2500 0.2500 0.2500 x8  4 Nd 3.28, 4 Sm 3.28

Summary:
V, Å³/atom: 27.273
Crystal system: cubic
Formation energy from the elements, eV/atom: -0.5567